[1]
First-principles (GGA+U) data for a relaxed LiMoP4O12 crystal, as listed in Materials Project.

Values from the calculation:
energy above the lowest structure with this stoichiometry = 64 kJ/mol of formula units
space group = No. 14

Unit cell a=13.220 b=7.619 c=12.209 alpha=51.90 beta=90.00 gamma=90.00
Fractional positions:
O1 0.348 0.802 0.890
O2 0.032 0.192 0.662
O3 0.628 0.453 0.392
P1 0.871 0.445 0.259
O4 0.718 0.821 0.870
O5 0.488 0.613 0.207
Li1 0.713 0.305 0.548
O6 0.095 0.924 0.149
P2 0.358 0.190 0.216
P3 0.078 0.918 0.274
P4 0.578 0.082 0.226
P5 0.371 0.555 0.241
O7 0.190 0.765 0.666
O8 0.153 0.017 0.873
P6 0.409 0.342 0.742
P7 0.909 0.658 0.758
O9 0.847 0.983 0.127
O10 0.372 0.547 0.608
O11 0.349 0.438 0.170
O12 0.468 0.192 0.162
Li2 0.787 0.305 0.048
O13 0.810 0.235 0.334
O14 0.872 0.453 0.892
O15 0.988 0.387 0.293
O16 0.651 0.562 0.830
O17 0.849 0.562 0.330
O18 0.310 0.765 0.166
O19 0.905 0.076 0.851
P8 0.591 0.658 0.258
O20 0.405 0.924 0.649
Mo1 0.724 0.929 0.484
Mo2 0.224 0.071 0.016
O21 0.053 0.169 0.216
O22 0.151 0.438 0.670
P9 0.142 0.190 0.716
O23 0.646 0.612 0.604
P10 0.422 0.918 0.774
P11 0.642 0.810 0.784
O24 0.218 0.179 0.630
O25 0.690 0.235 0.834
O26 0.947 0.831 0.784
O27 0.843 0.775 0.631
O28 0.347 0.017 0.373
Li3 0.287 0.695 0.452
O29 0.782 0.821 0.370
P12 0.858 0.810 0.284
O30 0.848 0.198 0.610
O31 0.012 0.613 0.707
O32 0.595 0.076 0.351
O33 0.282 0.179 0.130
P13 0.091 0.342 0.242
O34 0.128 0.547 0.108
O35 0.447 0.169 0.716
O36 0.652 0.198 0.110
P14 0.629 0.445 0.759
O37 0.343 0.225 0.869
O38 0.968 0.808 0.338
O39 0.146 0.388 0.896
O40 0.854 0.612 0.104
P15 0.129 0.555 0.741
O41 0.532 0.808 0.838
O42 0.657 0.775 0.131
Mo3 0.276 0.071 0.516
O43 0.653 0.983 0.627
O44 0.157 0.225 0.369
Mo4 0.776 0.929 0.984
O45 0.512 0.387 0.793
P16 0.922 0.082 0.726
O46 0.553 0.831 0.284
O47 0.152 0.802 0.390
O48 0.354 0.388 0.396
Li4 0.213 0.695 0.952

[2]
First-principles (GGA+U) data for a relaxed LiMoP2O8 crystal, as listed in Materials Project.

Values from the calculation:
energy above the lowest structure with this stoichiometry = 61 kJ/mol of formula units
space group = No. 14

Unit cell a=17.222 b=4.997 c=7.173 alpha=82.43 beta=90.00 gamma=90.00
Fractional positions:
P1 0.712 0.861 0.256
O1 0.312 0.443 0.680
Mo1 0.630 0.303 0.498
Li1 0.388 0.704 0.006
P2 0.962 0.257 0.218
O2 0.436 0.371 0.094
Mo2 0.870 0.803 0.998
O3 0.567 0.059 0.676
O4 0.302 0.647 0.279
O5 0.067 0.441 0.824
O6 0.688 0.557 0.320
O7 0.431 0.385 0.450
O8 0.933 0.559 0.176
O9 0.053 0.265 0.200
Li2 0.112 0.204 0.506
Mo3 0.130 0.197 0.002
O10 0.569 0.615 0.550
P3 0.038 0.743 0.782
O11 0.188 0.943 0.180
P4 0.288 0.139 0.744
O12 0.936 0.129 0.406
O13 0.831 0.488 0.588
O14 0.564 0.629 0.906
O15 0.433 0.941 0.324
O16 0.801 0.506 0.937
O17 0.069 0.885 0.950
O18 0.947 0.735 0.800
O19 0.931 0.115 0.050
O20 0.699 0.006 0.437
O21 0.812 0.057 0.820
Mo4 0.370 0.697 0.502
O22 0.198 0.147 0.779
O23 0.169 0.512 0.412
O24 0.301 0.994 0.563
O25 0.199 0.494 0.063
P5 0.538 0.757 0.718
O26 0.064 0.871 0.594
O27 0.331 0.012 0.912
O28 0.553 0.235 0.300
O29 0.669 0.988 0.088
P6 0.788 0.361 0.756
Li3 0.888 0.796 0.494
O30 0.698 0.353 0.721
O31 0.802 0.853 0.221
P7 0.462 0.243 0.282
P8 0.212 0.639 0.244
Li4 0.612 0.296 0.994
O32 0.447 0.765 0.700

[3]
First-principles (GGA+U) data for a relaxed LiMo2P2O9 crystal, as listed in Materials Project.

Values from the calculation:
space group = No. 62

Unit cell a=6.668 b=7.886 c=14.533 alpha=90.00 beta=90.00 gamma=90.00
Fractional positions:
Li1 0.250 0.466 0.749
P1 0.750 0.386 0.692
O1 0.250 0.024 0.731
P2 0.250 0.614 0.308
Mo1 0.750 0.142 0.381
O2 0.932 0.873 0.630
O3 0.056 0.603 0.366
Mo2 0.500 0.000 0.000
O4 0.568 0.627 0.130
O5 0.250 0.780 0.248
O6 0.750 0.982 0.487
O7 0.250 0.018 0.513
P3 0.250 0.353 0.933
O8 0.432 0.127 0.370
O9 0.750 0.672 0.521
O10 0.944 0.103 0.134
O11 0.250 0.328 0.479
O12 0.944 0.397 0.634
Mo3 0.000 0.000 0.000
O13 0.932 0.627 0.130
O14 0.250 0.482 0.013
O15 0.068 0.127 0.370
Mo4 0.500 0.500 0.500
P4 0.250 0.147 0.433
O16 0.250 0.720 0.748
Li2 0.250 0.034 0.249
O17 0.750 0.280 0.252
O18 0.568 0.873 0.630
O19 0.750 0.358 0.447
O20 0.250 0.858 0.053
P5 0.750 0.114 0.192
O21 0.556 0.103 0.134
Mo5 0.000 0.500 0.500
O22 0.056 0.897 0.866
O23 0.750 0.524 0.769
O24 0.250 0.476 0.231
O25 0.250 0.172 0.979
Mo6 0.250 0.858 0.619
O26 0.750 0.518 0.987
O27 0.250 0.642 0.553
Mo7 0.250 0.642 0.119
O28 0.750 0.220 0.752
O29 0.444 0.897 0.866
O30 0.432 0.373 0.870
P6 0.750 0.853 0.567
Li3 0.750 0.534 0.251
O31 0.750 0.828 0.021
O32 0.750 0.976 0.269
O33 0.444 0.603 0.366
O34 0.750 0.142 0.947
Mo8 0.750 0.358 0.881
P7 0.750 0.647 0.067
P8 0.250 0.886 0.808
Li4 0.750 0.966 0.751
O35 0.068 0.373 0.870
O36 0.556 0.397 0.634

[4]
First-principles (GGA+U) data for a relaxed LiMo2P3O12 crystal, as listed in Materials Project.

Values from the calculation:
energy above the lowest structure with this stoichiometry = 0 kJ/mol of formula units
space group = No. 5

Unit cell a=8.807 b=8.807 c=8.813 alpha=60.71 beta=60.71 gamma=60.49
Fractional positions:
O1 0.921 0.554 0.504
O2 0.942 0.229 0.994
Mo1 0.359 0.858 0.674
O3 0.006 0.124 0.325
P1 0.459 0.246 0.502
O4 0.596 0.730 0.485
O5 0.380 0.694 0.178
P2 0.754 0.541 0.498
O6 0.507 0.798 0.827
O7 0.202 0.493 0.173
O8 0.270 0.404 0.515
Li1 0.586 0.932 0.238
Mo2 0.857 0.361 0.175
P3 0.540 0.748 0.005
O9 0.062 0.777 0.498
O10 0.700 0.385 0.670
O11 0.417 0.276 0.996
P4 0.038 0.962 0.500
O12 0.615 0.300 0.330
P5 0.960 0.040 0.000
O13 0.990 0.885 0.176
O14 0.446 0.079 0.496
O15 0.306 0.620 0.822
Li2 0.068 0.414 0.762
Mo3 0.142 0.641 0.326
O16 0.115 0.010 0.824
O17 0.771 0.058 0.006
O18 0.094 0.440 0.984
O19 0.493 0.189 0.682
O20 0.724 0.583 0.004
O21 0.811 0.507 0.318
O22 0.223 0.938 0.502
P6 0.252 0.460 0.995
Mo4 0.639 0.143 0.825
O23 0.876 0.994 0.675
O24 0.560 0.906 0.016

[5]
First-principles (GGA+U) data for a relaxed LiMo3P3O13 crystal, as listed in Materials Project.

Values from the calculation:
space group = No. 11

Unit cell a=6.666 b=7.678 c=10.965 alpha=80.62 beta=90.00 gamma=90.00
Fractional positions:
Mo1 0.250 0.640 0.202
Mo2 0.750 0.360 0.798
O1 0.932 0.621 0.201
O2 0.750 0.136 0.905
O3 0.750 0.021 0.588
O4 0.250 0.500 0.049
O5 0.064 0.741 0.563
O6 0.250 0.664 0.379
O7 0.432 0.379 0.799
P1 0.250 0.307 0.123
O8 0.250 0.353 0.258
O9 0.068 0.379 0.799
O10 0.445 0.211 0.100
O11 0.750 0.907 0.123
O12 0.750 0.336 0.621
O13 0.250 0.864 0.095
O14 0.555 0.789 0.900
O15 0.750 0.647 0.742
Mo3 0.750 0.766 0.548
O16 0.945 0.789 0.900
O17 0.936 0.259 0.437
P2 0.750 0.213 0.518
O18 0.568 0.621 0.201
O19 0.564 0.259 0.437
O20 0.436 0.741 0.563
O21 0.750 0.793 0.352
P3 0.250 0.265 0.773
Li1 0.750 0.418 0.134
O22 0.250 0.207 0.648
O23 0.750 0.500 0.951
Mo4 0.250 0.234 0.452
O24 0.250 0.979 0.412
Mo5 0.500 0.000 0.000
P4 0.750 0.735 0.227
P5 0.250 0.787 0.482
O25 0.055 0.211 0.100
P6 0.750 0.693 0.877
O26 0.250 0.093 0.877
Li2 0.250 0.582 0.866
Mo6 0.000 0.000 0.000

[6]
First-principles (GGA+U) data for a relaxed Li3Mo2P3O12 crystal, as listed in Materials Project.

Values from the calculation:
energy above the lowest structure with this stoichiometry = 0 kJ/mol of formula units
space group = No. 148

Unit cell a=9.199 b=9.199 c=9.199 alpha=55.76 beta=55.76 gamma=55.76
Fractional positions:
O1 0.852 0.793 0.447
O2 0.810 0.603 0.998
P1 0.041 0.751 0.455
O3 0.207 0.553 0.148
O4 0.253 0.145 0.867
O5 0.553 0.148 0.207
P2 0.455 0.041 0.751
O6 0.536 0.497 0.159
P3 0.249 0.545 0.959
Li1 0.924 0.665 0.267
O7 0.148 0.207 0.553
Mo1 0.855 0.855 0.855
O8 0.145 0.867 0.253
P4 0.545 0.959 0.249
Li2 0.665 0.267 0.924
O9 0.464 0.503 0.841
O10 0.603 0.998 0.810
O11 0.867 0.253 0.145
Li3 0.267 0.924 0.665
O12 0.998 0.810 0.603
O13 0.855 0.133 0.747
O14 0.497 0.159 0.536
O15 0.747 0.855 0.133
O16 0.447 0.852 0.793
P5 0.751 0.455 0.041
Mo2 0.348 0.348 0.348
O17 0.397 0.002 0.190
O18 0.793 0.447 0.852
Mo3 0.145 0.145 0.145
O19 0.841 0.464 0.503
Li4 0.335 0.733 0.076
O20 0.002 0.190 0.397
O21 0.159 0.536 0.497
Mo4 0.652 0.652 0.652
O22 0.133 0.747 0.855
Li5 0.733 0.076 0.335
Li6 0.076 0.335 0.733
O23 0.503 0.841 0.464
O24 0.190 0.397 0.002
P6 0.959 0.249 0.545

[7]
First-principles (GGA+U) data for a relaxed LiMoP4O12 crystal, as listed in Materials Project.

Values from the calculation:
energy above the lowest structure with this stoichiometry = 16 kJ/mol of formula units
space group = No. 15

Unit cell a=9.881 b=9.881 c=11.342 alpha=39.82 beta=39.82 gamma=50.59
Fractional positions:
O1 0.696 0.055 0.073
P1 0.704 0.735 0.537
O2 0.945 0.304 0.427
Li1 0.000 0.000 0.500
O3 0.551 0.813 0.480
O4 0.135 0.108 0.172
O5 0.446 0.214 0.284
Mo1 0.804 0.196 0.750
O6 0.108 0.135 0.672
P2 0.014 0.491 0.799
O7 0.975 0.302 0.883
Mo2 0.196 0.804 0.250
O8 0.813 0.551 0.980
P3 0.491 0.014 0.299
O9 0.187 0.449 0.020
O10 0.252 0.502 0.339
O11 0.892 0.865 0.328
P4 0.735 0.704 0.037
O12 0.302 0.975 0.383
O13 0.055 0.696 0.573
O14 0.865 0.892 0.828
P5 0.509 0.986 0.701
P6 0.986 0.509 0.201
Li2 0.000 0.000 0.000
O15 0.554 0.786 0.716
O16 0.449 0.187 0.520
O17 0.698 0.025 0.617
O18 0.304 0.945 0.927
O19 0.498 0.748 0.161
O20 0.786 0.554 0.216
O21 0.214 0.446 0.784
O22 0.025 0.698 0.117
P7 0.265 0.296 0.963
P8 0.296 0.265 0.463
O23 0.748 0.498 0.661
O24 0.502 0.252 0.839

[8]
First-principles (GGA+U) data for a relaxed LiMoP2O8 crystal, as listed in Materials Project.

Values from the calculation:
energy above the lowest structure with this stoichiometry = 72 kJ/mol of formula units
space group = No. 15

Unit cell a=5.165 b=5.165 c=14.134 alpha=85.21 beta=85.21 gamma=54.92
Fractional positions:
O1 0.428 0.775 0.538
P1 0.318 0.361 0.382
O2 0.732 0.138 0.884
O3 0.476 0.224 0.289
O4 0.268 0.862 0.116
O5 0.074 0.287 0.420
Mo1 0.000 0.000 0.000
Li1 0.913 0.087 0.250
O6 0.225 0.572 0.962
O7 0.775 0.428 0.038
O8 0.138 0.732 0.384
O9 0.572 0.225 0.462
Mo2 0.000 0.000 0.500
P2 0.361 0.318 0.882
P3 0.682 0.639 0.618
O10 0.713 0.926 0.080
O11 0.926 0.713 0.580
P4 0.639 0.682 0.118
Li2 0.087 0.913 0.750
O12 0.224 0.476 0.789
O13 0.287 0.074 0.920
O14 0.776 0.524 0.211
O15 0.862 0.268 0.616
O16 0.524 0.776 0.711

Calculated values (eV per formula unit) of formation enthalpy at 0 K for the records, taken in order: -45.75; -29.39; -34.19; -45.13; -48.22; -51.32; -46.25; -29.29.
Calculated values (eV per atom) of MP2020-corrected energy for the records, taken in order: -7.752; -7.713; -8.082; -8.019; -8.162; -7.718; -7.780; -7.704.